Entry 1:
Here is a geometry-optimized Zr6FeBi2 structure from the Materials Project. Energies are from GGA-PBE.

Values from the calculation:
Raw total energy = -70.3 eV per cell
Space group = P-62m (189)
E_form = -0.31 eV/atom

a = 3.6548 Å, b = 7.9808 Å, c = 7.9808 Å
α = 120.00°, β = 90.00°, γ = 90.00°
Closest atoms and distances in Å follow each position.
Fractional coordinates of all 9 atoms:
Zr  0.5000  0.7645  0.7645  2 Fe 2.62
Zr  0.5000  0.0000  0.2355  2 Fe 2.62
Zr  0.5000  0.2355  0.0000  2 Fe 2.62
Zr  0.0000  0.3907  0.3907  4 Bi 3.07, 1 Fe 3.12, 4 Zr 3.28
Zr  0.0000  0.0000  0.6093  4 Bi 3.07, 1 Fe 3.12, 4 Zr 3.28
Zr  0.0000  0.6093  0.0000  4 Bi 3.07, 1 Fe 3.12, 4 Zr 3.28
Fe  0.0000  0.0000  0.0000  6 Zr 2.62
Bi  0.5000  0.6667  0.3333  9 Zr 3.07-3.12
Bi  0.5000  0.3333  0.6667  9 Zr 3.07-3.12

***

Entry 2:
Here is a geometry-optimized PrCo4P12 structure from the Materials Project. Energies are from GGA-PBE.

Values from the calculation:
Raw total energy = -107.3 eV per cell
Space group = Im-3 (204)
E_form = -0.53 eV/atom
Magnetic moment = 0.004 μB per atom

a = 6.7766 Å, b = 6.7766 Å, c = 6.7766 Å
α = 109.47°, β = 109.47°, γ = 109.47°
Closest atoms and distances in Å follow each position.
Fractional coordinates of all 17 atoms:
Pr  0.0000  0.0000  0.0000  12 P 3.00
Co  0.0000  0.0000  0.5000  6 P 2.26
Co  0.5000  0.0000  0.0000  6 P 2.26
Co  0.0000  0.5000  0.0000  6 P 2.26
Co  0.5000  0.5000  0.5000  6 P 2.26
P  0.3534  0.2061  0.8527  2 Co 2.26, 2 P 2.29-2.31
P  0.6466  0.7939  0.1473  2 Co 2.26, 2 P 2.29-2.31
P  0.6466  0.4993  0.8527  2 Co 2.26, 2 P 2.29-2.31
P  0.3534  0.5007  0.1473  2 Co 2.26, 2 P 2.29-2.31
P  0.2061  0.8527  0.3534  2 Co 2.26, 2 P 2.29-2.31
P  0.7939  0.1473  0.6466  2 Co 2.26, 2 P 2.29-2.31
P  0.4993  0.8527  0.6466  2 Co 2.26, 2 P 2.29-2.31
P  0.5007  0.1473  0.3534  2 Co 2.26, 2 P 2.29-2.31
P  0.8527  0.3534  0.2061  2 Co 2.26, 2 P 2.29-2.31
P  0.1473  0.6466  0.7939  2 Co 2.26, 2 P 2.29-2.31
P  0.8527  0.6466  0.4993  2 Co 2.26, 2 P 2.29-2.31
P  0.1473  0.3534  0.5007  2 Co 2.26, 2 P 2.29-2.31

***

Entry 3:
Here is a geometry-optimized MgFeCu2SnS4 structure from the Materials Project. Energies are from GGA-PBE.

Values from the calculation:
Raw total energy = -41.7 eV per cell
Space group = P1 (1)
E_form = -0.54 eV/atom
Magnetic moment = 0.445 μB per atom

a = 6.2916 Å, b = 5.4797 Å, c = 6.6401 Å
α = 114.31°, β = 118.03°, γ = 90.10°
Closest atoms and distances in Å follow each position.
Fractional coordinates of all 9 atoms:
Mg  0.9999  0.5001  0.9995  4 S 2.49, 2 Fe 2.74
Fe  0.0000  0.9998  0.0001  4 S 2.30-2.31
Cu  0.2703  0.7705  0.5402  4 S 2.39-2.42
Cu  0.7293  0.2303  0.4592  4 S 2.38-2.42
Sn  0.5005  0.4984  0.0009  4 S 2.80-2.81
S  0.0655  0.0795  0.7165  1 Fe 2.30, 2 Cu 2.39-2.42, 1 Mg 2.49
S  0.3491  0.9202  0.2812  1 Fe 2.31, 2 Cu 2.38-2.42, 1 Mg 2.49
S  0.9349  0.3626  0.2835  1 Fe 2.30, 2 Cu 2.38-2.41, 1 Mg 2.49
S  0.6505  0.6386  0.7188  1 Fe 2.31, 2 Cu 2.39-2.42, 1 Mg 2.49

***

Entry 4:
Here is a geometry-optimized TmLuAg2 structure from the Materials Project. Energies are from GGA-PBE.

Values from the calculation:
Raw total energy = -16.1 eV per cell
Space group = Fm-3m (225)
E_form = -0.35 eV/atom

a = 5.0538 Å, b = 5.0538 Å, c = 5.0538 Å
α = 60.00°, β = 60.00°, γ = 60.00°
Closest atoms and distances in Å follow each position.
Fractional coordinates of all 4 atoms:
Tm  0.0000  0.0000  0.0000  8 Ag 3.09
Lu  0.5000  0.5000  0.5000  8 Ag 3.09
Ag  0.7500  0.7500  0.7500  4 Tm 3.09, 4 Lu 3.09
Ag  0.2500  0.2500  0.2500  4 Lu 3.09, 4 Tm 3.09

***

Entry 5:
Here is a geometry-optimized Li5SbS structure from the Materials Project. Energies are from GGA-PBE.

Values from the calculation:
Raw total energy = -95.0 eV per cell
Space group = P2_1 (4)
E_form = -0.92 eV/atom
Piezoelectric modulus e_max = 0.067 C/m2
Magnetic moment = 0.000 μB per atom

a = 8.0249 Å, b = 7.9048 Å, c = 8.5078 Å
α = 87.87°, β = 90.00°, γ = 90.00°
Closest atoms and distances in Å follow each position.
Fractional coordinates of all 28 atoms:
Li  0.7405  0.4009  0.4256  2 S 2.41-2.57
Li  0.2522  0.9977  0.9775  1 S 2.34
Li  0.2497  0.4814  0.2666  1 S 2.35
Li  0.9041  0.3391  0.0169  1 Li 2.53, 1 S 2.53, 1 Sb 2.76
Li  0.9246  0.8453  0.7343  2 S 2.61-2.63, 2 Li 2.86-2.87
Li  0.5685  0.8458  0.7334  2 S 2.60-2.61, 2 Li 2.86
Li  0.5893  0.3376  0.0136  1 Li 2.53, 1 S 2.54, 1 Sb 2.76
Li  0.9180  0.7447  0.2876  1 S 2.39
Li  0.5724  0.7501  0.2839  1 S 2.40
Li  0.2459  0.9865  0.5330  2 S 2.35-2.43
Li  0.0893  0.6624  0.9864  1 Li 2.53, 1 S 2.54, 1 Sb 2.76
Li  0.7459  0.0135  0.4670  2 S 2.35-2.43
Li  0.0724  0.2499  0.7161  1 S 2.40
Li  0.4180  0.2553  0.7124  1 S 2.39
Li  0.4041  0.6609  0.9831  1 Li 2.53, 1 S 2.53, 1 Sb 2.76
Li  0.7497  0.5186  0.7334  1 S 2.35
Li  0.0685  0.1542  0.2666  2 S 2.60-2.61, 2 Li 2.86
Li  0.4246  0.1547  0.2657  2 S 2.61-2.63, 2 Li 2.86-2.87
Li  0.2405  0.5991  0.5744  2 S 2.41-2.57
Li  0.7522  0.0023  0.0225  1 S 2.34
Sb  0.2465  0.3355  0.9894  8 Li 2.66-2.87
Sb  0.2448  0.8241  0.2627  8 Li 2.68-2.99
Sb  0.7465  0.6645  0.0106  8 Li 2.66-2.87
Sb  0.7448  0.1759  0.7373  8 Li 2.68-2.99
S  0.7466  0.1828  0.2346  7 Li 2.34-2.61
S  0.7433  0.7085  0.5144  6 Li 2.35-2.60
S  0.2433  0.2915  0.4856  6 Li 2.35-2.60
S  0.2466  0.8172  0.7654  7 Li 2.34-2.61